(1)
The following is a DFT calculation (PBE) of a relaxed CeMg6Al crystal.

Output
ΔH_f (0 K) in meV per atom: 52
Space-group type: Amm2 (38)
Polymorph energy (0 for the lowest one) in kJ per mole of atoms: 4.08
Raw total energy in eV per formula unit: -18.86

Structure (POSCAR):
```
CeMg6Al
1.0
3.303 -5.950 0.000
3.303 5.950 0.000
0.000 0.000 5.245
Ce Mg Al
1 6 1
direct
0.331 0.669 0.500 Ce
0.328 0.165 0.500 Mg
0.835 0.672 0.500 Mg
0.158 0.322 0.000 Mg
0.678 0.842 0.000 Mg
0.670 0.330 0.000 Mg
0.163 0.837 0.000 Mg
0.837 0.163 0.500 Al
```

=====

(2)
The following is a DFT calculation (PBE) of a relaxed Cu2SiSe3 crystal.

Output
ΔH_f (0 K) in meV per atom: -517
Space-group type: Cc (9)
Raw total energy in eV per formula unit: -25.80

Structure (POSCAR):
```
Cu2SiSe3
1.0
5.914 3.368 0.000
-5.914 3.368 0.000
0.000 2.152 6.403
Cu Si Se
4 2 6
direct
0.742 0.232 0.503 Cu
0.232 0.742 0.003 Cu
0.412 0.585 0.500 Cu
0.585 0.412 0.000 Cu
0.055 0.886 0.524 Si
0.886 0.055 0.024 Si
0.528 0.698 0.123 Se
0.698 0.528 0.623 Se
0.351 0.867 0.627 Se
0.867 0.351 0.127 Se
0.189 0.031 0.144 Se
0.031 0.189 0.644 Se
```

=====

(3)
The following is a DFT calculation (PBE) of a relaxed Na2LiYCl6 crystal.

Output
ΔH_f (0 K) in meV per atom: -2244
Space-group type: Fm-3m (225)
Raw total energy in eV per formula unit: -40.87

Structure (POSCAR):
```
Na2LiYCl6
1.0
0.000 5.138 5.138
5.138 0.000 5.138
5.138 5.138 0.000
Na Li Y Cl
2 1 1 6
direct
0.750 0.750 0.750 Na
0.250 0.250 0.250 Na
0.500 0.500 0.500 Li
0.000 0.000 0.000 Y
0.745 0.255 0.255 Cl
0.255 0.255 0.745 Cl
0.255 0.745 0.745 Cl
0.255 0.745 0.255 Cl
0.745 0.255 0.745 Cl
0.745 0.745 0.255 Cl
```

=====

(4)
The following is a DFT calculation (PBE) of a relaxed BaLaI5 crystal.

Output
ΔH_f (0 K) in meV per atom: -1882
Space-group type: C2/c (15)
Polymorph energy (0 for the lowest one) in kJ per mole of atoms: 1.65
Raw total energy in eV per formula unit: -25.75

Structure (POSCAR):
```
BaLaI5
1.0
11.247 3.244 0.000
-11.247 3.244 0.000
0.000 0.536 8.025
Ba La I
2 2 10
direct
0.673 0.327 0.250 Ba
0.327 0.673 0.750 Ba
0.921 0.079 0.250 La
0.079 0.921 0.750 La
0.786 0.717 0.101 I
0.803 0.188 0.993 I
0.631 0.369 0.750 I
0.812 0.197 0.507 I
0.717 0.786 0.601 I
0.283 0.214 0.399 I
0.188 0.803 0.493 I
0.369 0.631 0.250 I
0.197 0.812 0.007 I
0.214 0.283 0.899 I
```

=====

(5)
The following is a DFT calculation (PBE) of a relaxed Sm5Ge4 crystal.

Output
ΔH_f (0 K) in meV per atom: -825
Space-group type: Pnma (62)
Raw total energy in eV per formula unit: -49.51

Structure (POSCAR):
```
Sm5Ge4
1.0
7.843 0.000 0.000
0.000 7.929 0.000
0.000 0.000 15.047
Sm Ge
20 16
direct
0.378 0.160 0.116 Sm
0.878 0.340 0.384 Sm
0.122 0.660 0.884 Sm
0.622 0.840 0.616 Sm
0.378 0.160 0.384 Sm
0.878 0.340 0.116 Sm
0.122 0.660 0.616 Sm
0.622 0.840 0.884 Sm
0.024 0.822 0.398 Sm
0.524 0.678 0.102 Sm
0.476 0.322 0.602 Sm
0.976 0.178 0.898 Sm
0.976 0.178 0.602 Sm
0.476 0.322 0.898 Sm
0.524 0.678 0.398 Sm
0.024 0.822 0.102 Sm
0.287 0.998 0.750 Sm
0.787 0.502 0.750 Sm
0.213 0.498 0.250 Sm
0.713 0.002 0.250 Sm
0.780 0.533 0.545 Ge
0.280 0.967 0.955 Ge
0.720 0.033 0.455 Ge
0.220 0.467 0.045 Ge
0.220 0.467 0.455 Ge
0.720 0.033 0.045 Ge
0.280 0.967 0.545 Ge
0.780 0.533 0.955 Ge
0.915 0.888 0.750 Ge
0.415 0.612 0.750 Ge
0.585 0.388 0.250 Ge
0.085 0.112 0.250 Ge
0.173 0.365 0.750 Ge
0.673 0.135 0.750 Ge
0.327 0.865 0.250 Ge
0.827 0.635 0.250 Ge
```

=====

(6)
The following is a DFT calculation (PBE) of a relaxed BiPb4 crystal.

Output
ΔH_f (0 K) in meV per atom: 32
Space-group type: R-3m (166)
Raw total energy in eV per formula unit: -18.58

Structure (POSCAR):
```
BiPb4
1.0
-7.535 10.804 -5.992
-9.660 8.124 -7.078
-10.134 9.590 -3.837
Bi Pb
1 4
direct
0.000 0.000 0.000 Bi
0.600 0.600 0.600 Pb
0.200 0.200 0.200 Pb
0.800 0.800 0.800 Pb
0.400 0.400 0.400 Pb
```

=====

| no. | V (Å³ per atom) |
| --- | --- |
| 1 | 25.8 |
| 2 | 21.3 |
| 3 | 27.1 |
| 4 | 41.8 |
| 5 | 26.0 |
| 6 | 31.9 |